Record 1
This record from the Materials Project database describes a relaxed Na9Ca8Nb4P9S9O72 crystal. The functional is GGA-PBE.

The structure in POSCAR format:
```
Na9Ca8Nb4P9S9O72
1.0
-3.784 -7.756 -3.048
9.089 0.717 0.624
-0.775 -8.142 21.862
S O Ca P Nb Na
9 72 8 9 4 9
direct
0.376 0.328 0.081 S
0.679 0.695 0.255 S
0.015 0.318 0.252 S
0.015 0.696 0.754 S
0.303 0.319 0.754 S
0.303 0.986 0.252 S
0.948 0.328 0.580 S
0.684 0.986 0.752 S
0.672 0.626 0.579 S
0.175 0.490 0.262 O
0.513 0.874 0.077 O
0.317 0.827 0.263 O
0.480 0.137 0.633 O
0.993 0.781 0.803 O
0.508 0.684 0.264 O
0.206 0.037 0.576 O
0.201 0.196 0.408 O
0.369 0.875 0.578 O
0.868 0.341 0.633 O
0.628 0.482 0.921 O
0.518 0.146 0.921 O
0.801 0.002 0.408 O
0.320 0.450 0.473 O
0.488 0.163 0.525 O
0.745 0.959 0.696 O
0.979 0.805 0.077 O
0.655 0.131 0.750 O
0.215 0.960 0.197 O
0.502 0.635 0.866 O
0.855 0.482 0.422 O
0.478 0.351 0.751 O
0.871 0.348 0.252 O
0.121 0.441 0.977 O
0.677 0.528 0.527 O
0.510 0.827 0.762 O
0.141 0.502 0.870 O
0.219 0.212 0.803 O
0.666 0.536 0.632 O
0.871 0.522 0.751 O
0.494 0.861 0.370 O
0.127 0.679 0.472 O
0.844 0.521 0.025 O
0.522 0.647 0.577 O
0.787 0.782 0.304 O
0.208 0.252 0.701 O
0.515 0.373 0.422 O
0.315 0.491 0.763 O
0.997 0.207 0.300 O
0.321 0.881 0.977 O
0.201 0.003 0.907 O
0.744 0.788 0.201 O
0.652 0.136 0.134 O
0.477 0.132 0.251 O
0.869 0.526 0.133 O
0.998 0.197 0.908 O
0.175 0.683 0.764 O
0.826 0.797 0.577 O
0.367 0.862 0.870 O
0.858 0.372 0.921 O
0.120 0.469 0.578 O
0.040 0.255 0.197 O
0.044 0.792 0.700 O
0.340 0.469 0.078 O
0.840 0.054 0.078 O
0.468 0.344 0.133 O
0.674 0.164 0.026 O
0.555 0.679 0.972 O
0.794 0.004 0.799 O
0.132 0.632 0.366 O
0.365 0.499 0.366 O
0.558 0.877 0.477 O
0.209 0.003 0.300 O
0.943 0.162 0.579 O
0.996 0.798 0.407 O
0.804 0.799 0.907 O
0.211 0.165 0.080 O
0.472 0.323 0.029 O
0.844 0.325 0.528 O
0.647 0.520 0.252 O
0.628 0.144 0.422 O
0.132 0.640 0.077 O
0.978 0.982 0.149 Ca
0.662 0.335 0.688 Ca
0.023 0.004 0.648 Ca
0.999 0.000 0.352 Ca
0.342 0.670 0.015 Ca
0.671 0.339 0.188 Ca
0.325 0.662 0.517 Ca
0.002 0.001 0.851 Ca
0.626 0.967 0.421 P
0.345 0.973 0.921 P
0.034 0.372 0.920 P
0.629 0.656 0.918 P
0.028 0.655 0.419 P
0.669 0.049 0.081 P
0.377 0.046 0.581 P
0.958 0.627 0.080 P
0.340 0.374 0.419 P
0.330 0.666 0.324 Nb
0.657 0.328 0.475 Nb
0.678 0.338 0.976 Nb
0.336 0.669 0.825 Nb
0.296 0.954 0.079 Na
0.315 0.660 0.666 Na
0.662 0.332 0.831 Na
0.025 0.000 0.494 Na
0.656 0.959 0.581 Na
0.036 0.344 0.081 Na
0.354 0.678 0.165 Na
0.671 0.337 0.330 Na
0.974 0.976 0.993 Na
```

***

Record 2
This record from the Materials Project database describes a relaxed Na6Ca2Nb4Si3P6O36 crystal. The functional is GGA-PBE.

The structure in POSCAR format:
```
Na6Ca2Nb4Si3P6O36
1.0
-8.194 -0.494 3.900
7.422 -2.405 4.660
2.261 21.313 7.422
O Nb Na Si P Ca
72 8 12 6 12 4
direct
0.520 0.132 0.919 O
0.629 0.542 0.643 O
0.525 0.371 0.423 O
0.357 0.861 0.860 O
0.662 0.137 0.750 O
0.625 0.143 0.420 O
0.293 0.821 0.253 O
0.455 0.084 0.649 O
0.526 0.674 0.570 O
0.806 0.788 0.304 O
0.693 0.162 0.024 O
0.169 0.972 0.196 O
0.177 0.023 0.589 O
0.839 0.810 0.589 O
0.990 0.792 0.807 O
0.362 0.515 0.468 O
0.916 0.545 0.149 O
0.464 0.151 0.245 O
0.506 0.867 0.362 O
0.831 0.524 0.033 O
0.629 0.475 0.923 O
0.863 0.338 0.250 O
0.326 0.837 0.570 O
0.028 0.197 0.202 O
0.196 0.981 0.921 O
0.326 0.474 0.070 O
0.458 0.371 0.143 O
0.133 0.494 0.862 O
0.791 0.991 0.419 O
0.510 0.862 0.472 O
0.526 0.711 0.253 O
0.163 0.674 0.070 O
0.519 0.816 0.753 O
0.499 0.634 0.856 O
0.138 0.490 0.972 O
0.000 0.215 0.313 O
0.918 0.393 0.641 O
0.607 0.082 0.141 O
0.868 0.480 0.419 O
0.174 0.200 0.694 O
0.469 0.308 0.033 O
0.524 0.836 0.067 O
0.150 0.652 0.470 O
0.028 0.831 0.696 O
0.139 0.643 0.360 O
0.190 0.161 0.089 O
0.019 0.804 0.421 O
0.212 0.194 0.804 O
0.803 0.972 0.702 O
0.184 0.481 0.253 O
0.800 0.826 0.194 O
0.857 0.375 0.920 O
0.977 0.823 0.089 O
0.175 0.210 0.423 O
0.790 0.825 0.923 O
0.348 0.850 0.970 O
0.366 0.501 0.356 O
0.009 0.209 0.919 O
0.838 0.307 0.524 O
0.164 0.476 0.567 O
0.692 0.531 0.533 O
0.472 0.340 0.743 O
0.289 0.474 0.753 O
0.850 0.036 0.091 O
0.485 0.638 0.968 O
0.179 0.707 0.753 O
0.964 0.150 0.591 O
0.785 0.000 0.813 O
0.476 0.169 0.533 O
0.660 0.528 0.243 O
0.849 0.536 0.745 O
0.208 0.010 0.307 O
0.330 0.658 0.813 Nb
0.656 0.328 0.484 Nb
0.337 0.665 0.021 Nb
0.003 0.007 0.644 Nb
0.672 0.344 0.984 Nb
0.335 0.663 0.521 Nb
0.342 0.670 0.313 Nb
0.993 0.997 0.144 Nb
0.361 0.015 0.741 Na
0.967 0.287 0.412 Na
0.689 0.348 0.827 Na
0.351 0.706 0.163 Na
0.012 0.991 0.997 Na
0.009 0.988 0.497 Na
0.294 0.649 0.663 Na
0.361 0.348 0.240 Na
0.652 0.311 0.327 Na
0.713 0.033 0.912 Na
0.652 0.639 0.740 Na
0.985 0.639 0.241 Na
0.667 0.036 0.082 Si
0.351 0.384 0.417 Si
0.362 0.028 0.587 Si
0.972 0.638 0.087 Si
0.964 0.333 0.582 Si
0.616 0.649 0.917 Si
0.006 0.711 0.751 P
0.700 0.992 0.755 P
0.040 0.651 0.418 P
0.349 0.960 0.918 P
0.670 0.635 0.585 P
0.008 0.300 0.255 P
0.289 0.994 0.251 P
0.035 0.388 0.919 P
0.365 0.330 0.085 P
0.702 0.712 0.250 P
0.288 0.298 0.750 P
0.612 0.965 0.419 P
0.676 0.329 0.678 Ca
0.671 0.324 0.178 Ca
0.000 0.993 0.358 Ca
0.007 0.000 0.858 Ca
```

***

Record 3
This record from the Materials Project database describes a relaxed Na6CaNb5Si6P3O36 crystal. The functional is GGA-PBE.

The structure in POSCAR format:
```
Na6CaNb5Si6P3O36
1.0
9.030 -0.003 -0.003
-4.517 7.819 0.003
-0.007 0.004 22.809
O Si P Nb Na Ca
72 12 6 10 12 2
direct
0.852 0.357 0.925 O
0.168 0.979 0.908 O
0.846 0.324 0.256 O
0.532 0.706 0.255 O
0.534 0.841 0.474 O
0.823 0.815 0.306 O
0.691 0.544 0.251 O
0.147 0.486 0.570 O
0.514 0.853 0.070 O
0.506 0.361 0.424 O
0.466 0.373 0.147 O
0.504 0.639 0.857 O
0.845 0.549 0.751 O
0.499 0.860 0.360 O
0.475 0.307 0.030 O
0.804 0.974 0.692 O
0.974 0.166 0.588 O
0.841 0.299 0.529 O
0.913 0.522 0.144 O
0.521 0.814 0.755 O
0.527 0.692 0.971 O
0.639 0.494 0.924 O
0.643 0.148 0.425 O
0.834 0.026 0.088 O
0.693 0.525 0.530 O
0.361 0.496 0.357 O
0.308 0.473 0.471 O
0.183 0.025 0.590 O
0.456 0.309 0.751 O
0.837 0.823 0.589 O
0.451 0.155 0.251 O
0.135 0.637 0.357 O
0.833 0.523 0.029 O
0.627 0.534 0.647 O
0.830 0.003 0.807 O
0.506 0.664 0.571 O
0.175 0.711 0.755 O
0.999 0.821 0.806 O
0.336 0.494 0.071 O
0.186 0.479 0.255 O
0.030 0.833 0.696 O
0.294 0.468 0.755 O
0.177 0.163 0.089 O
0.809 0.976 0.409 O
0.171 0.196 0.696 O
0.154 0.658 0.069 O
0.168 0.187 0.409 O
0.307 0.833 0.971 O
0.904 0.372 0.639 O
0.167 0.970 0.196 O
0.342 0.846 0.569 O
0.997 0.170 0.307 O
0.024 0.191 0.909 O
0.701 0.159 0.029 O
0.975 0.817 0.090 O
0.021 0.832 0.408 O
0.628 0.096 0.139 O
0.179 0.001 0.306 O
0.804 0.829 0.196 O
0.363 0.865 0.857 O
0.477 0.167 0.529 O
0.478 0.087 0.644 O
0.167 0.693 0.471 O
0.855 0.493 0.425 O
0.813 0.832 0.909 O
0.507 0.145 0.925 O
0.185 0.177 0.806 O
0.159 0.466 0.974 O
0.289 0.825 0.255 O
0.676 0.154 0.756 O
0.026 0.196 0.192 O
0.140 0.501 0.860 O
0.041 0.664 0.416 Si
0.336 0.959 0.916 Si
0.371 0.038 0.584 Si
0.962 0.629 0.084 Si
0.375 0.338 0.085 Si
0.336 0.378 0.416 Si
0.002 0.291 0.252 Si
0.622 0.664 0.916 Si
0.040 0.379 0.917 Si
0.709 0.998 0.752 Si
0.662 0.625 0.585 Si
0.621 0.960 0.417 Si
0.712 0.722 0.252 P
0.664 0.036 0.082 P
0.279 0.993 0.253 P
0.964 0.336 0.582 P
0.007 0.721 0.753 P
0.278 0.288 0.752 P
0.999 0.998 0.643 Nb
0.334 0.667 0.815 Nb
0.662 0.337 0.479 Nb
0.333 0.666 0.315 Nb
0.002 0.001 0.143 Nb
0.663 0.338 0.979 Nb
0.996 0.003 0.859 Nb
0.333 0.667 0.017 Nb
0.997 0.004 0.359 Nb
0.333 0.667 0.517 Nb
0.679 0.328 0.832 Na
0.672 0.321 0.332 Na
0.382 0.014 0.744 Na
0.629 0.622 0.742 Na
0.986 0.618 0.244 Na
0.378 0.371 0.242 Na
0.024 0.342 0.085 Na
0.011 0.999 0.499 Na
0.658 0.976 0.585 Na
0.315 0.648 0.663 Na
0.001 0.989 0.999 Na
0.352 0.685 0.163 Na
0.666 0.326 0.184 Ca
0.674 0.334 0.684 Ca
```

***

no.,formation energy (eV per atom)
1,-2.645
2,-2.898
3,-2.956